Entry 1:
UI2O9: optimized geometry, PBE-GGA.

Calculated values
VASP energy   -5.89 eV/atom
Formation energy from the elements   -1.50 eV per atom
Magnetization   8.012 Bohr magnetons per cell

Structure (CIF):
```
data_UI2O9
_symmetry_space_group_name_H-M 'P b c n'
_symmetry_Int_Tables_number 60
_cell_length_a 8.385
_cell_length_b 7.911
_cell_length_c 12.419
_cell_angle_alpha 90.00
_cell_angle_beta 90.00
_cell_angle_gamma 90.00
loop_
_symmetry_equiv_pos_as_xyz
'x,y,z'
'-x,-y,-z'
'-x+1/2,-y+1/2,z+1/2'
'x+1/2,y+1/2,-z+1/2'
'x+1/2,-y+1/2,-z'
'-x+1/2,y+1/2,z'
'-x,y,-z+1/2'
'x,-y,z+1/2'
loop_
_atom_site_label
_atom_site_type_symbol
_atom_site_fract_x
_atom_site_fract_y
_atom_site_fract_z
_atom_site_occupancy
U1 U 0.000 0.074 0.250 1
I1 I 0.183 0.400 0.040 1
O1 O 0.000 0.229 0.750 1
O2 O 0.096 0.317 0.164 1
O3 O 0.107 0.382 0.538 1
O4 O 0.121 0.034 0.597 1
O5 O 0.182 0.062 0.331 1
```

---

Entry 2:
Cs2AlInCl6: optimized geometry, PBE-GGA.

Calculated values
VASP energy   -3.53 eV/atom
Formation energy from the elements   -1.96 eV per atom
Magnetization   0.001 Bohr magnetons per cell

Structure (CIF):
```
data_Cs2AlInCl6
_symmetry_space_group_name_H-M 'F m -3 m'
_symmetry_Int_Tables_number 225
_symmetry_space_group_name_Hall '-F 4 2 3'
_cell_length_a 10.878
_cell_length_b 10.878
_cell_length_c 10.878
_cell_angle_alpha 90.00
_cell_angle_beta 90.00
_cell_angle_gamma 90.00
loop_
_atom_site_label
_atom_site_type_symbol
_atom_site_fract_x
_atom_site_fract_y
_atom_site_fract_z
_atom_site_occupancy
Cs1 Cs 0.250 0.250 0.250 1
Al1 Al 0.000 0.000 0.000 1
In1 In 0.000 0.000 0.500 1
Cl1 Cl 0.000 0.000 0.217 1
```

---

Entry 3:
RbEuS2O8: optimized geometry, PBE-GGA.

Calculated values
VASP energy   -6.85 eV/atom
Formation energy from the elements   -2.39 eV per atom
Magnetization   24.000 Bohr magnetons per cell

Structure (CIF):
```
data_RbEuS2O8
_symmetry_space_group_name_H-M 'C 1 2/c 1'
_symmetry_Int_Tables_number 15
_cell_length_a 13.809
_cell_length_b 5.503
_cell_length_c 9.723
_cell_angle_alpha 90.00
_cell_angle_beta 102.49
_cell_angle_gamma 90.00
loop_
_symmetry_equiv_pos_as_xyz
'x,y,z'
'-x,-y,-z'
'-x,y,-z+1/2'
'x,-y,z+1/2'
'x+1/2,y+1/2,z'
'-x+1/2,-y+1/2,-z'
'-x+1/2,y+1/2,-z+1/2'
'x+1/2,-y+1/2,z+1/2'
loop_
_atom_site_label
_atom_site_type_symbol
_atom_site_fract_x
_atom_site_fract_y
_atom_site_fract_z
_atom_site_occupancy
Rb1 Rb 0.250 0.250 0.000 1
Eu1 Eu 0.000 0.178 0.250 1
S1 S 0.088 0.263 0.613 1
O1 O 0.019 0.195 0.908 1
O2 O 0.107 0.497 0.183 1
O3 O 0.117 0.276 0.474 1
O4 O 0.145 0.068 0.702 1
```

---

Entry 4:
MnCrInS4: optimized geometry, PBE-GGA.

Calculated values
VASP energy   -6.06 eV/atom
Formation energy from the elements   -0.90 eV per atom
Magnetization   8.000 Bohr magnetons per cell

Structure (CIF):
```
data_MnCrInS4
_symmetry_space_group_name_H-M 'I m m a'
_symmetry_Int_Tables_number 74
_symmetry_space_group_name_Hall '-I 2b 2'
_cell_length_a 7.345
_cell_length_b 7.447
_cell_length_c 10.503
_cell_angle_alpha 90.00
_cell_angle_beta 90.00
_cell_angle_gamma 90.00
loop_
_atom_site_label
_atom_site_type_symbol
_atom_site_fract_x
_atom_site_fract_y
_atom_site_fract_z
_atom_site_occupancy
Mn1 Mn 0.000 0.250 0.127 1
Cr1 Cr 0.250 0.250 0.750 1
In1 In 0.000 0.000 0.500 1
S1 S 0.000 0.028 0.751 1
S2 S 0.247 0.250 0.517 1
```

---

Entry 5:
Ca2MgSi2O7: optimized geometry, PBE-GGA.

Calculated values
VASP energy   -7.23 eV/atom
Formation energy from the elements   -3.37 eV per atom
Magnetization   0.000 Bohr magnetons per cell

Structure (CIF):
```
data_Ca2MgSi2O7
_symmetry_space_group_name_H-M 'P 1 21/c 1'
_symmetry_Int_Tables_number 14
_cell_length_a 9.223
_cell_length_b 7.814
_cell_length_c 9.975
_cell_angle_alpha 90.00
_cell_angle_beta 121.69
_cell_angle_gamma 90.00
loop_
_symmetry_equiv_pos_as_xyz
'x,y,z'
'-x,-y,-z'
'-x,y+1/2,-z+1/2'
'x,-y+1/2,z+1/2'
loop_
_atom_site_label
_atom_site_type_symbol
_atom_site_fract_x
_atom_site_fract_y
_atom_site_fract_z
_atom_site_occupancy
Ca1 Ca 0.069 0.218 0.026 1
Ca2 Ca 0.419 0.556 0.699 1
Mg1 Mg 0.216 0.603 0.887 1
Si1 Si 0.160 0.540 0.288 1
Si2 Si 0.387 0.229 0.417 1
O1 O 0.004 0.062 0.640 1
O2 O 0.143 0.548 0.444 1
O3 O 0.178 0.727 0.225 1
O4 O 0.252 0.094 0.282 1
O5 O 0.340 0.071 0.841 1
O6 O 0.374 0.222 0.573 1
O7 O 0.431 0.687 0.067 1
```

---

Entry 6:
Na3Nb4Zn2P9O36: optimized geometry, PBE-GGA.

Calculated values
VASP energy   -7.34 eV/atom
Formation energy from the elements   -2.73 eV per atom
Magnetization   0.000 Bohr magnetons per cell

Structure (CIF):
```
data_Na3Nb4Zn2P9O36
_symmetry_space_group_name_H-M 'P 3 c 1'
_symmetry_Int_Tables_number 158
_cell_length_a 8.7692
_cell_length_b 8.7692
_cell_length_c 22.8273
_cell_angle_alpha 90.00
_cell_angle_beta 90.00
_cell_angle_gamma 120.00
loop_
_symmetry_equiv_pos_as_xyz
'x,y,z'
'-y,x-y,z'
'-x+y,-x,z'
'-y,-x,z+1/2'
'-x+y,y,z+1/2'
'x,x-y,z+1/2'
loop_
_atom_site_label
_atom_site_type_symbol
_atom_site_fract_x
_atom_site_fract_y
_atom_site_fract_z
_atom_site_occupancy
Na1 Na 0.0000 0.0000 0.0000 1
Na2 Na 0.3333 0.6667 0.1579 1
Na3 Na 0.6667 0.3333 0.3275 1
Nb1 Nb 0.0000 0.0000 0.1422 1
Nb2 Nb 0.0000 0.0000 0.3531 1
Nb3 Nb 0.3333 0.6667 0.3117 1
Nb4 Nb 0.6667 0.3333 0.4821 1
Zn1 Zn 0.3333 0.6667 0.0186 1
Zn2 Zn 0.6667 0.3333 0.1850 1
P1 P 0.0455 0.3799 0.4177 1
P2 P 0.2913 0.0036 0.7492 1
P3 P 0.3814 0.0406 0.0857 1
O1 O 0.0183 0.1912 0.4056 1
O2 O 0.0307 0.2009 0.6952 1
O3 O 0.1336 0.4944 0.3614 1
O4 O 0.1422 0.4921 0.0758 1
O5 O 0.1549 0.4508 0.4714 1
O6 O 0.1696 0.4702 0.7583 1
O7 O 0.1927 0.0186 0.8042 1
O8 O 0.1942 0.0316 0.0903 1
O9 O 0.4671 0.1631 0.0287 1
O10 O 0.4705 0.1628 0.7467 1
O11 O 0.4862 0.1255 0.1394 1
O12 O 0.4995 0.1421 0.4222 1
```

---

Entry 7:
Sn5Ge2N6: optimized geometry, PBE-GGA.

Calculated values
VASP energy   -5.84 eV/atom
Formation energy from the elements   0.09 eV per atom
Magnetization   0.004 Bohr magnetons per cell

Structure (CIF):
```
data_Sn5Ge2N6
_symmetry_space_group_name_H-M 'C 1 2/c 1'
_symmetry_Int_Tables_number 15
_cell_length_a 9.026
_cell_length_b 7.103
_cell_length_c 14.772
_cell_angle_alpha 90.00
_cell_angle_beta 95.15
_cell_angle_gamma 90.00
loop_
_symmetry_equiv_pos_as_xyz
'x,y,z'
'-x,-y,-z'
'-x,y,-z+1/2'
'x,-y,z+1/2'
'x+1/2,y+1/2,z'
'-x+1/2,-y+1/2,-z'
'-x+1/2,y+1/2,-z+1/2'
'x+1/2,-y+1/2,z+1/2'
loop_
_atom_site_label
_atom_site_type_symbol
_atom_site_fract_x
_atom_site_fract_y
_atom_site_fract_z
_atom_site_occupancy
Sn1 Sn 0.000 0.099 0.250 1
Sn2 Sn 0.075 0.215 0.472 1
Sn3 Sn 0.132 0.413 0.683 1
Ge1 Ge 0.235 0.290 0.907 1
N1 N 0.097 0.285 0.151 1
N2 N 0.105 0.405 0.827 1
N3 N 0.150 0.107 0.985 1
```

---

Entry 8:
ScAu3: optimized geometry, PBE-GGA.

Calculated values
VASP energy   -4.63 eV/atom
Formation energy from the elements   -0.59 eV per atom

Structure (CIF):
```
data_ScAu3
_symmetry_space_group_name_H-M 'P 63/m m c'
_symmetry_Int_Tables_number 194
_symmetry_space_group_name_Hall '-P 6c 2c'
_cell_length_a 5.9582
_cell_length_b 5.9582
_cell_length_c 4.8454
_cell_angle_alpha 90.00
_cell_angle_beta 90.00
_cell_angle_gamma 120.00
loop_
_atom_site_label
_atom_site_type_symbol
_atom_site_fract_x
_atom_site_fract_y
_atom_site_fract_z
_atom_site_occupancy
Sc1 Sc 0.3333 0.6667 0.2500 1
Au1 Au 0.1674 0.3348 0.7500 1
```

---

Q: Which value of VASP energy does entry 5 give?
A: -7.23 eV/atom